This record from Materials Project describes crystalline Rb2PrO3 at its relaxed geometry. The functional is PBE-GGA.

a = 6.8607 Å, b = 6.8607 Å, c = 6.5811 Å
α = 90.00°, β = 90.00°, γ = 66.65°
Closest atoms and distances in Å follow each position.
Positions (direct):
1 Rb 0.0229 0.3128 0.0000  2 O 2.78-2.93
2 Rb 0.3128 0.0229 0.5000  2 O 2.78-2.93
3 Rb 0.6872 0.9771 0.0000  2 O 2.78-2.93
4 Rb 0.9771 0.6872 0.5000  2 O 2.78-2.93
5 Pr 0.3980 0.6020 0.9710  5 O 2.23-2.37
6 Pr 0.6020 0.3980 0.4710  5 O 2.23-2.37
7 O 0.1085 0.8915 0.9046  1 Pr 2.23
8 O 0.3523 0.3859 0.2324  2 Pr 2.35-2.37
9 O 0.3859 0.3523 0.7324  2 Pr 2.35-2.37
10 O 0.6141 0.6477 0.2324  2 Pr 2.35-2.37
11 O 0.6477 0.6141 0.7324  2 Pr 2.35-2.37
12 O 0.8915 0.1085 0.4046  1 Pr 2.23

Results
Size of the total moment, μB per formula unit: 1.00
Crystal system: orthorhombic
Energy of formation, eV/atom: -2.181